# 1
Na2Nb6Ga2Si7S5O48: optimized geometry, PBE.

The structure in extended XYZ format:
```
210
Lattice="8.845 0.000 0.000 -0.001 15.311 0.000 -0.001 -0.052 22.826" Properties=species:S:1:pos:R:3 pbc="T T T"
Na 0.000 0.000 0.000
Na 0.001 5.018 3.635
Na 0.043 15.199 11.469
Na 4.341 7.499 22.763
Na 4.378 7.613 11.522
Na 4.413 12.656 15.116
Nb 0.015 5.025 18.407
Nb 0.139 10.044 10.894
Nb 4.223 2.385 22.252
Nb 4.367 2.310 15.688
Nb 4.371 2.377 4.235
Nb 4.368 12.721 7.002
Nb 4.398 2.288 10.808
Nb 4.433 7.634 3.144
Nb 4.441 12.693 0.520
Nb 4.478 7.629 19.512
Nb 4.494 7.663 8.145
Nb 8.677 15.228 19.488
Nb 8.707 15.183 14.615
Nb 8.729 -0.011 8.135
Nb 8.755 5.006 11.992
Nb 8.823 9.931 22.181
Nb 8.827 10.023 4.255
Nb 8.829 10.087 15.732
Ga 0.231 5.055 0.450
Ga 4.149 12.684 11.896
Ga 4.401 7.604 14.752
Ga 4.695 12.714 18.597
Ga 8.718 5.039 7.335
Ga 8.809 15.263 3.334
Si 1.139 2.838 20.929
Si 1.278 7.089 20.885
Si 1.282 12.272 13.290
Si 1.383 7.892 13.366
Si 1.871 2.447 13.282
Si 2.478 10.182 1.852
Si 2.978 0.241 1.892
Si 3.093 4.630 1.876
Si 3.103 14.784 9.479
Si 3.183 10.580 9.528
Si 5.609 0.120 13.221
Si 5.625 14.823 20.876
Si 5.659 10.525 20.873
Si 5.673 9.787 5.651
Si 6.350 15.226 5.567
Si 6.874 7.525 16.962
Si 7.482 12.986 17.094
Si 7.546 2.108 17.044
Si 7.541 2.914 9.463
Si 7.618 7.187 9.461
Si 7.627 7.807 1.795
S 1.217 2.177 5.675
S 1.218 13.044 5.636
S 1.840 7.492 5.680
S 1.886 12.638 20.864
S 2.500 5.006 9.449
S 2.514 15.127 17.095
S 3.158 5.362 17.047
S 3.152 9.787 17.082
S 5.610 4.669 13.293
S 5.709 5.361 5.667
S 6.258 10.098 13.279
S 6.298 4.970 20.913
S 6.919 12.638 9.492
S 6.964 2.463 1.865
S 7.594 12.355 1.874
O 0.458 3.429 22.253
O 0.546 11.605 11.970
O 0.580 6.484 19.553
O 0.600 13.761 13.477
O 0.620 8.586 14.610
O 0.614 11.691 5.476
O 0.635 1.565 4.469
O 0.634 8.616 21.048
O 0.645 1.278 20.671
O 0.643 13.656 6.854
O 0.655 3.532 5.849
O 0.656 6.465 12.990
O 0.904 3.746 19.594
O 0.904 11.333 14.576
O 0.946 3.763 13.029
O 0.963 1.124 13.466
O 0.964 6.315 5.810
O 0.994 8.741 5.514
O 0.986 11.472 21.110
O 0.999 1.314 6.883
O 1.027 13.861 20.756
O 1.052 8.825 12.012
O 1.047 13.859 4.436
O 1.075 6.300 22.246
O 1.389 0.097 2.122
O 1.501 4.762 1.833
O 1.498 15.011 9.174
O 1.528 9.947 0.567
O 1.562 10.333 9.667
O 1.563 10.358 3.202
O 1.667 9.845 16.964
O 1.679 5.189 17.226
O 1.683 5.275 10.646
O 1.710 0.100 18.299
O 1.708 14.987 15.869
O 1.711 4.771 8.222
O 2.669 7.329 4.462
O 2.674 7.725 6.879
O 2.669 12.400 19.662
O 2.695 12.868 5.815
O 2.713 2.270 5.524
O 2.718 12.860 22.092
O 2.794 2.669 21.086
O 2.819 2.691 14.602
O 2.850 2.291 11.981
O 2.881 7.327 20.606
O 2.879 12.374 13.239
O 2.988 7.712 13.519
O 3.305 13.952 10.808
O 3.327 1.215 0.603
O 3.328 6.179 15.849
O 3.371 6.225 9.258
O 3.389 1.069 16.925
O 3.382 13.959 17.229
O 3.393 3.850 9.653
O 3.392 8.912 18.297
O 3.403 8.824 2.053
O 3.449 11.446 1.646
O 3.466 11.422 8.165
O 3.485 3.719 3.194
O 3.704 11.128 17.266
O 3.726 5.977 18.268
O 3.722 14.136 1.606
O 3.744 0.951 3.184
O 3.738 0.995 9.630
O 3.736 8.995 9.243
O 3.746 9.170 15.883
O 3.762 4.012 16.895
O 3.785 6.115 2.146
O 3.787 14.161 8.136
O 3.842 3.992 0.576
O 3.926 11.118 10.829
O 4.920 14.258 19.565
O 4.968 11.129 22.223
O 4.985 9.005 4.402
O 4.992 0.944 14.545
O 5.023 11.228 5.917
O 5.023 13.961 13.091
O 5.035 8.971 20.737
O 5.052 6.017 13.417
O 5.058 4.054 12.070
O 5.094 1.020 21.206
O 5.092 4.026 5.488
O 5.090 5.973 6.879
O 5.363 6.175 20.697
O 5.385 1.153 11.960
O 5.385 11.296 19.521
O 5.383 13.868 22.191
O 5.382 13.955 5.910
O 5.401 1.242 5.403
O 5.405 3.836 14.503
O 5.399 8.801 6.960
O 5.411 8.873 13.411
O 5.429 3.783 21.063
O 5.431 6.216 4.476
O 5.438 11.308 13.167
O 5.870 12.855 17.148
O 5.904 7.277 15.721
O 5.936 2.292 16.810
O 5.935 7.294 9.295
O 5.931 7.727 18.326
O 5.950 2.720 9.737
O 5.985 7.764 2.059
O 6.084 2.630 3.101
O 6.103 12.457 1.750
O 6.112 12.477 8.256
O 6.124 2.246 0.673
O 6.146 12.957 10.684
O 7.067 5.275 22.108
O 7.096 4.788 19.682
O 7.103 9.876 12.070
O 7.105 10.272 14.503
O 7.114 4.778 13.161
O 7.184 5.238 5.783
O 7.241 0.116 13.396
O 7.257 10.341 21.160
O 7.279 9.957 5.413
O 7.287 0.112 6.920
O 7.284 14.948 20.771
O 7.297 14.983 4.308
O 7.774 3.680 1.798
O 7.784 11.466 9.625
O 7.790 1.152 18.376
O 7.802 3.661 8.074
O 7.806 1.246 2.027
O 7.812 8.847 0.552
O 7.818 11.510 3.098
O 7.829 6.223 10.757
O 7.822 6.246 17.333
O 7.823 8.830 16.811
O 7.847 13.859 9.270
O 7.845 13.960 15.809
O 8.105 8.703 9.766
O 8.170 11.737 0.670
O 8.169 13.694 2.024
O 8.182 1.361 9.303
O 8.186 3.555 17.343
O 8.193 6.328 1.686
O 8.189 11.541 16.834
O 8.212 13.699 18.395
O 8.224 8.632 3.135
O 8.247 1.391 15.779
O 8.261 6.631 8.100
O 8.266 3.521 10.784
```

Calculated values
Formation energy from the elements ... -2640 meV/atom
SG ... P1 (1)
Total magnetization ... 0.0 μB/cell
Total energy after the MP2020 corrections ... -7.861 eV/atom



# 2
KU2Cl2O9: optimized geometry, PBE.

The structure in extended XYZ format:
```
28
Lattice="7.360 0.000 0.000 -3.480 7.327 0.000 -2.928 -2.181 11.465" Properties=species:S:1:pos:R:3 pbc="T T T"
K -0.488 -0.299 2.474
K 1.440 5.445 8.992
U -2.317 3.264 8.604
U -0.259 5.599 0.667
U 1.212 -0.453 10.798
U 3.269 1.882 2.861
Cl -2.099 1.075 7.130
Cl -0.653 6.467 3.442
Cl 1.606 -1.321 8.023
Cl 3.051 4.071 4.335
O -4.027 3.517 8.011
O -2.019 6.138 0.424
O -0.706 3.966 1.473
O -2.888 2.189 10.262
O -0.999 3.776 5.819
O -0.579 -0.245 10.389
O -2.668 4.632 10.368
O 0.866 0.783 5.639
O 1.465 1.893 2.572
O -0.513 3.254 8.894
O 0.086 4.363 5.826
O 3.620 0.514 1.098
O 1.531 5.391 1.076
O 1.951 1.370 5.646
O 3.841 2.957 1.203
O 1.658 1.181 9.993
O 2.972 -0.991 11.041
O 4.979 1.629 3.455
```

Calculated values
Formation energy from the elements ... -1875 meV/atom
SG ... P-1 (2)
Total magnetization ... 3.8 μB/cell
Total energy after the MP2020 corrections ... -7.013 eV/atom



# 3
Li3Fe2S4: optimized geometry, PBE.

The structure in extended XYZ format:
```
36
Lattice="6.144 0.000 0.000 0.000 10.279 0.000 0.000 0.000 9.855" Properties=species:S:1:pos:R:3 pbc="T T T"
Li 0.241 0.950 1.501
Li 0.241 4.190 1.501
Li 0.602 2.570 7.532
Li 2.470 7.709 2.605
Li 2.831 6.089 6.429
Li 2.831 9.329 6.429
Li 3.313 0.950 3.426
Li 3.313 4.190 3.426
Li 3.674 2.570 7.250
Li 5.542 7.709 2.323
Li 5.903 6.089 8.353
Li 5.903 9.329 8.353
Fe 0.303 1.293 4.664
Fe 0.303 3.847 4.664
Fe 2.769 6.433 9.592
Fe 2.769 8.986 9.592
Fe 3.375 1.293 0.263
Fe 3.375 3.847 0.263
Fe 5.842 6.433 5.191
Fe 5.842 8.986 5.191
S 0.868 7.709 6.633
S 1.074 7.709 0.475
S 1.148 5.661 3.605
S 1.148 9.758 3.605
S 1.924 0.522 8.532
S 1.924 4.618 8.532
S 1.998 2.570 5.402
S 2.204 2.570 1.706
S 3.940 7.709 8.149
S 4.147 7.709 4.452
S 4.220 5.661 1.322
S 4.220 9.758 1.322
S 4.997 0.522 6.250
S 4.997 4.618 6.250
S 5.070 2.570 9.380
S 5.276 2.570 3.222
```

Calculated values
Formation energy from the elements ... -982 meV/atom
SG ... Pnma (62)
Total magnetization ... 28.0 μB/cell
E above lowest polymorph ... 0 meV/atom
Total energy after the MP2020 corrections ... -5.339 eV/atom



Question: Which of these has the highest formation energy from the elements?
Answer: Li3Fe2S4